Entry 1:
# U2Ti

Crystalline U2Ti at its relaxed geometry (PBE, Materials Project).

Calculated values
Energy relative to the elements (meV/atom): -77.9

Structure (POSCAR):
```
U2Ti
1.0
0.000 0.000 -2.802
-2.394 -4.147 0.000
-2.394 4.147 0.000
U Ti
2 1
Direct
0.500 0.333 0.667 U
0.500 0.667 0.333 U
0.000 0.000 0.000 Ti
```



Entry 2:
# ZrU10Ti4

Crystalline ZrU10Ti4 at its relaxed geometry (PBE, Materials Project).

Calculated values
Energy relative to the elements (meV/atom): -29.4

Structure (POSCAR):
```
ZrU10Ti4
1.0
0.000 0.000 -2.826
-2.416 -4.182 0.000
-16.958 12.570 0.001
U Ti Zr
10 4 1
Direct
0.500 0.267 0.533 U
0.500 0.733 0.467 U
0.500 0.667 0.335 U
0.500 0.135 0.270 U
0.500 0.332 0.665 U
0.500 0.538 0.075 U
0.500 0.462 0.925 U
0.500 0.865 0.730 U
0.500 0.930 0.860 U
0.500 0.070 0.140 U
0.000 0.800 0.598 Ti
0.000 0.602 0.204 Ti
0.000 0.398 0.796 Ti
0.000 0.200 0.402 Ti
0.000 0.000 0.000 Zr
```



Entry 3:
# TiW

Crystalline TiW at its relaxed geometry (PBE, Materials Project).

Calculated values
Energy relative to the elements (meV/atom): -20.0

Structure (POSCAR):
```
TiW
1.0
1.590 -2.291 0.000
1.590 2.291 0.000
0.000 0.000 4.454
Ti W
1 1
Direct
0.000 0.000 0.000 Ti
0.500 0.500 0.500 W
```



Entry 4:
# ZrTiW4

Crystalline ZrTiW4 at its relaxed geometry (PBE, Materials Project).

Calculated values
Energy relative to the elements (meV/atom): -48.3

Structure (POSCAR):
```
ZrTiW4
1.0
-3.788 3.637 1.084
-0.269 4.526 -2.862
-4.045 0.763 -3.435
W Ti Zr
4 1 1
Direct
0.625 0.625 0.125 W
0.625 0.125 0.625 W
0.625 0.625 0.625 W
0.125 0.625 0.625 W
0.250 0.250 0.250 Ti
0.000 0.000 0.000 Zr
```



Entry 5:
# YTi

Crystalline YTi at its relaxed geometry (PBE, Materials Project).

Calculated values
Energy relative to the elements (meV/atom): 364.5

Structure (POSCAR):
```
YTi
1.0
3.658 0.000 0.000
0.000 3.658 0.000
0.000 0.000 3.658
Ti Y
1 1
Direct
0.500 0.500 0.500 Ti
0.000 0.000 0.000 Y
```



Entry 6:
# Ti3Zn

Crystalline Ti3Zn at its relaxed geometry (PBE, Materials Project).

Calculated values
Energy relative to the elements (meV/atom): -107.1

Structure (POSCAR):
```
Ti3Zn
1.0
4.018 0.000 0.000
0.000 4.018 0.000
0.000 0.000 4.018
Ti Zn
3 1
Direct
0.500 0.000 0.500 Ti
0.500 0.500 0.000 Ti
0.000 0.500 0.500 Ti
0.000 0.000 0.000 Zn
```



Entry 7:
# Ti3Zn22

Crystalline Ti3Zn22 at its relaxed geometry (PBE, Materials Project).

Calculated values
Energy relative to the elements (meV/atom): -121.8

Structure (POSCAR):
```
Ti3Zn22
1.0
11.527 0.000 0.000
0.000 11.527 0.000
0.000 0.000 11.460
Zn Ti
88 12
Direct
0.672 0.327 0.848 Zn
0.012 0.105 0.000 Zn
0.605 0.512 0.500 Zn
0.173 0.828 0.348 Zn
0.828 0.827 0.848 Zn
0.172 0.173 0.152 Zn
0.880 0.620 0.250 Zn
0.064 0.200 0.616 Zn
0.241 0.679 0.500 Zn
0.564 0.300 0.384 Zn
0.259 0.179 0.500 Zn
0.328 0.673 0.152 Zn
0.397 0.059 0.117 Zn
0.800 0.064 0.116 Zn
0.120 0.380 0.250 Zn
0.543 0.735 0.182 Zn
0.741 0.821 0.500 Zn
0.103 0.559 0.117 Zn
0.827 0.172 0.652 Zn
0.059 0.603 0.383 Zn
0.327 0.328 0.348 Zn
0.957 0.235 0.818 Zn
0.988 0.895 0.000 Zn
0.235 0.043 0.318 Zn
0.436 0.700 0.616 Zn
0.103 0.559 0.883 Zn
0.179 0.741 0.000 Zn
0.441 0.103 0.383 Zn
0.679 0.759 0.000 Zn
0.735 0.457 0.682 Zn
0.173 0.828 0.652 Zn
0.043 0.765 0.818 Zn
0.559 0.897 0.617 Zn
0.300 0.436 0.116 Zn
0.880 0.620 0.750 Zn
0.941 0.397 0.383 Zn
0.457 0.265 0.182 Zn
0.441 0.103 0.617 Zn
0.397 0.059 0.883 Zn
0.043 0.765 0.182 Zn
0.200 0.936 0.116 Zn
0.564 0.300 0.616 Zn
0.673 0.672 0.652 Zn
0.700 0.564 0.116 Zn
0.064 0.200 0.384 Zn
0.328 0.673 0.848 Zn
0.620 0.120 0.250 Zn
0.603 0.941 0.117 Zn
0.235 0.043 0.682 Zn
0.172 0.173 0.848 Zn
0.321 0.241 0.000 Zn
0.700 0.564 0.884 Zn
0.603 0.941 0.883 Zn
0.735 0.457 0.318 Zn
0.200 0.936 0.884 Zn
0.821 0.259 0.000 Zn
0.827 0.172 0.348 Zn
0.543 0.735 0.818 Zn
0.897 0.441 0.117 Zn
0.559 0.897 0.383 Zn
0.895 0.012 0.500 Zn
0.395 0.488 0.500 Zn
0.265 0.543 0.682 Zn
0.765 0.957 0.682 Zn
0.800 0.064 0.884 Zn
0.105 0.988 0.500 Zn
0.120 0.380 0.750 Zn
0.897 0.441 0.883 Zn
0.957 0.235 0.182 Zn
0.457 0.265 0.818 Zn
0.300 0.436 0.884 Zn
0.380 0.880 0.750 Zn
0.380 0.880 0.250 Zn
0.828 0.827 0.152 Zn
0.265 0.543 0.318 Zn
0.436 0.700 0.384 Zn
0.759 0.321 0.500 Zn
0.327 0.328 0.652 Zn
0.672 0.327 0.152 Zn
0.512 0.395 0.000 Zn
0.059 0.603 0.617 Zn
0.673 0.672 0.348 Zn
0.941 0.397 0.617 Zn
0.936 0.800 0.616 Zn
0.765 0.957 0.318 Zn
0.620 0.120 0.750 Zn
0.488 0.605 0.000 Zn
0.936 0.800 0.384 Zn
0.156 0.411 0.500 Ti
0.911 0.656 0.000 Ti
0.089 0.344 0.000 Ti
0.500 0.500 0.250 Ti
0.656 0.089 0.500 Ti
0.500 0.500 0.750 Ti
0.589 0.156 0.000 Ti
0.344 0.911 0.500 Ti
0.000 0.000 0.250 Ti
0.000 0.000 0.750 Ti
0.411 0.844 0.000 Ti
0.844 0.589 0.500 Ti
```



Entry 8:
# Ti3Zn

Crystalline Ti3Zn at its relaxed geometry (PBE, Materials Project).

Calculated values
Energy relative to the elements (meV/atom): -106.3

Structure (POSCAR):
```
Ti3Zn
1.0
-1.982 1.982 4.151
1.982 -1.982 4.151
1.982 1.982 -4.151
Zn Ti
1 3
Direct
0.000 0.000 0.000 Zn
0.500 0.500 0.000 Ti
0.250 0.750 0.500 Ti
0.750 0.250 0.500 Ti
```



Which of these has the lowest energy relative to the elements?
Ti3Zn22



Which of these has the lowest energy relative to the elements?
Ti3Zn22



What is the formula in the second record?
ZrU10Ti4



Which formula does entry 7 have?
Ti3Zn22